No. 1
VASP calculation (PBE with a Hubbard U) on a geometry-optimized Ca2Fe3O8 structure.

Cell and atoms, written as POSCAR:
```
Ca2Fe3O8
1.0
-0.003 -0.138 -5.016
5.611 -2.774 0.411
-4.606 -9.333 -0.642
Ca Fe O
4 6 16
direct
0.437 0.506 0.222 Ca
0.937 0.006 0.722 Ca
0.063 0.994 0.278 Ca
0.563 0.494 0.778 Ca
0.000 0.500 0.500 Fe
0.015 0.729 0.990 Fe
0.985 0.271 0.010 Fe
0.500 0.000 0.000 Fe
0.515 0.229 0.490 Fe
0.486 0.771 0.510 Fe
0.650 0.970 0.394 O
0.150 0.470 0.894 O
0.850 0.530 0.106 O
0.350 0.030 0.606 O
0.711 0.456 0.395 O
0.211 0.956 0.895 O
0.789 0.044 0.105 O
0.289 0.544 0.605 O
0.273 0.228 0.103 O
0.773 0.728 0.603 O
0.292 0.790 0.105 O
0.792 0.290 0.605 O
0.208 0.710 0.395 O
0.708 0.209 0.895 O
0.227 0.272 0.397 O
0.727 0.772 0.897 O
```

E	-6.3863	eV per atom
total energy after the MP2020 corrections	-190.572	eV/cell
excess energy over the best structure of this formula in the dataset	0.00	kcal/mol of atoms
ΔH_f (0 K)	-2.022	eV per atom

No. 2
VASP calculation (PBE with a Hubbard U) on a geometry-optimized CaFe2O4 structure.

Cell and atoms, written as POSCAR:
```
CaFe2O4
1.0
9.328 0.000 0.000
0.000 3.060 0.000
0.000 0.000 10.860
Ca Fe O
4 8 16
direct
0.243 0.250 0.156 Ca
0.257 0.750 0.656 Ca
0.743 0.250 0.344 Ca
0.757 0.750 0.844 Ca
0.066 0.250 0.389 Fe
0.081 0.250 0.896 Fe
0.419 0.750 0.396 Fe
0.434 0.750 0.889 Fe
0.566 0.250 0.111 Fe
0.581 0.250 0.604 Fe
0.919 0.750 0.104 Fe
0.934 0.750 0.611 Fe
0.025 0.750 0.784 O
0.082 0.250 0.574 O
0.120 0.750 0.024 O
0.205 0.750 0.337 O
0.295 0.250 0.837 O
0.380 0.250 0.524 O
0.418 0.750 0.074 O
0.475 0.250 0.284 O
0.525 0.750 0.716 O
0.582 0.250 0.926 O
0.620 0.750 0.476 O
0.705 0.750 0.163 O
0.795 0.250 0.663 O
0.880 0.250 0.976 O
0.918 0.750 0.426 O
0.975 0.250 0.216 O
```

E	-6.6676	eV per atom
crystal system	orthorhombic
space group	Pnma
total energy after the MP2020 corrections	-215.734	eV/cell
excess energy over the best structure of this formula in the dataset	0.14	kcal/mol of atoms
ΔH_f (0 K)	-2.171	eV per atom

No. 3
VASP calculation (PBE with a Hubbard U) on a geometry-optimized CaFe2O4 structure.

Cell and atoms, written as POSCAR:
```
CaFe2O4
1.0
-3.018 3.018 4.413
3.018 -3.018 4.413
3.018 3.018 -4.413
Ca Fe O
2 4 8
direct
0.375 0.625 0.750 Ca
0.625 0.375 0.250 Ca
0.000 0.000 0.000 Fe
0.000 0.000 0.500 Fe
0.000 0.500 0.000 Fe
0.500 0.000 0.500 Fe
0.189 0.226 0.964 O
0.226 0.189 0.464 O
0.226 0.762 0.036 O
0.238 0.774 0.464 O
0.762 0.226 0.536 O
0.774 0.238 0.964 O
0.774 0.811 0.536 O
0.811 0.774 0.036 O
```

E	-6.2384	eV per atom
crystal system	tetragonal
space group	I4_1/amd
total energy after the MP2020 corrections	-101.858	eV/cell
excess energy over the best structure of this formula in the dataset	10.03	kcal/mol of atoms
ΔH_f (0 K)	-1.742	eV per atom

No. 4
VASP calculation (PBE with a Hubbard U) on a geometry-optimized CaFe5O7 structure.

Cell and atoms, written as POSCAR:
```
CaFe5O7
1.0
1.547 -5.141 0.000
1.547 5.141 0.000
0.000 0.000 18.379
Ca Fe O
2 10 14
direct
0.211 0.789 0.750 Ca
0.789 0.211 0.250 Ca
0.000 0.000 0.000 Fe
0.000 0.000 0.500 Fe
0.273 0.727 0.075 Fe
0.273 0.727 0.425 Fe
0.460 0.540 0.656 Fe
0.460 0.540 0.844 Fe
0.540 0.460 0.156 Fe
0.540 0.460 0.344 Fe
0.727 0.273 0.575 Fe
0.727 0.273 0.925 Fe
0.097 0.903 0.598 O
0.097 0.903 0.902 O
0.183 0.817 0.166 O
0.183 0.817 0.334 O
0.350 0.650 0.533 O
0.350 0.650 0.967 O
0.450 0.550 0.250 O
0.550 0.450 0.750 O
0.650 0.350 0.033 O
0.650 0.350 0.467 O
0.817 0.183 0.666 O
0.817 0.183 0.834 O
0.903 0.097 0.098 O
0.903 0.097 0.402 O
```

E	-6.6553	eV per atom
crystal system	orthorhombic
space group	Cmcm
total energy after the MP2020 corrections	-205.216	eV/cell
ΔH_f (0 K)	-1.817	eV per atom

> Among the records above, which one has the lowest ΔH_f (0 K)?

number 2

> Which of these has the lowest E?

number 2

> Among the records above, which one has the lowest total energy after the MP2020 corrections?

number 2